Record 1
Below is an optimized crystal structure of LaCoO3, with properties calculated at the PBE with a Hubbard U level.

## Properties
DFT total energy = -7.2395 eV/atom
theoretical density = 6.79 Mg/m³

```
LaCoO3
1.0
5.449 0.000 0.000
2.623 4.819 0.000
2.581 1.575 4.579
La Co O
2 2 6
direct
0.250 0.249 0.250
0.750 0.751 0.750
0.000 0.000 0.000
0.500 0.500 0.500
0.183 0.322 0.753
0.255 0.818 0.678
0.311 0.754 0.179
0.689 0.246 0.821
0.745 0.182 0.322
0.817 0.678 0.247
```

Record 2
Below is an optimized crystal structure of La2Co2O5, with properties calculated at the PBE with a Hubbard U level.

## Properties
DFT total energy = -7.3393 eV/atom
theoretical density = 6.27 Mg/m³

```
La2Co2O5
1.0
5.458 0.000 0.000
0.000 15.792 0.000
0.000 0.000 5.847
La Co O
8 8 20
direct
0.000 0.110 0.023
0.000 0.390 0.023
0.000 0.610 0.977
0.000 0.890 0.977
0.500 0.110 0.477
0.500 0.390 0.477
0.500 0.610 0.523
0.500 0.890 0.523
0.000 0.000 0.500
0.000 0.500 0.500
0.046 0.250 0.561
0.454 0.750 0.061
0.500 0.000 0.000
0.500 0.500 0.000
0.546 0.250 0.939
0.954 0.750 0.439
0.020 0.641 0.585
0.020 0.859 0.585
0.077 0.750 0.116
0.245 0.018 0.755
0.245 0.482 0.755
0.255 0.518 0.255
0.255 0.982 0.255
0.423 0.250 0.616
0.480 0.141 0.085
0.480 0.359 0.085
0.520 0.641 0.915
0.520 0.859 0.915
0.577 0.750 0.384
0.745 0.018 0.745
0.745 0.482 0.745
0.755 0.518 0.245
0.755 0.982 0.245
0.923 0.250 0.884
0.980 0.141 0.415
0.980 0.359 0.415
```

Record 3
Below is an optimized crystal structure of La2CoO4, with properties calculated at the PBE with a Hubbard U level.

## Properties
DFT total energy = -7.7124 eV/atom
theoretical density = 6.73 Mg/m³

```
La2CoO4
1.0
5.028 0.000 -2.199
0.000 5.748 0.000
5.028 0.000 11.496
La O Co
8 16 4
direct
0.500 0.482 0.638
0.000 0.018 0.638
0.500 0.018 0.138
0.000 0.482 0.138
0.000 0.982 0.362
0.500 0.982 0.862
0.000 0.518 0.862
0.500 0.518 0.362
0.750 0.250 0.981
0.500 0.926 0.318
0.250 0.250 0.981
0.750 0.750 0.019
0.000 0.573 0.318
0.000 0.927 0.818
0.750 0.250 0.481
0.000 0.427 0.682
0.500 0.427 0.182
0.250 0.750 0.019
0.250 0.750 0.519
0.500 0.073 0.682
0.250 0.250 0.481
0.500 0.573 0.818
0.000 0.073 0.182
0.750 0.750 0.519
0.500 0.500 0.000
0.000 0.500 0.500
0.000 0.000 0.000
0.500 0.000 0.500
```

Record 4
Below is an optimized crystal structure of LaCoO3, with properties calculated at the PBE with a Hubbard U level.

## Properties
DFT total energy = -7.2079 eV/atom
theoretical density = 6.82 Mg/m³

```
LaCoO3
1.0
5.498 0.000 0.000
-0.043 5.591 0.000
-0.238 -0.039 7.789
La Co O
4 4 12
direct
0.000 0.004 0.249
0.000 0.996 0.751
0.498 0.497 0.753
0.502 0.503 0.247
0.000 0.500 0.000
0.000 0.500 0.500
0.500 0.000 0.000
0.500 0.000 0.500
0.003 0.561 0.745
0.208 0.208 0.533
0.226 0.789 0.035
0.287 0.271 0.966
0.299 0.718 0.468
0.492 0.928 0.760
0.508 0.072 0.240
0.701 0.282 0.532
0.713 0.729 0.034
0.774 0.211 0.965
0.792 0.792 0.467
0.997 0.439 0.255
```

Record 5
Below is an optimized crystal structure of La2CoO4, with properties calculated at the PBE with a Hubbard U level.

## Properties
DFT total energy = -7.6895 eV/atom
theoretical density = 6.87 Mg/m³

```
La2CoO4
1.0
0.000 -5.514 0.003
-2.761 -2.763 12.751
-5.514 0.000 0.002
O Co La
16 4 8
direct
0.841 0.318 0.341
0.909 0.182 0.909
0.659 0.682 0.159
0.409 0.182 0.409
0.000 0.500 0.000
0.591 0.818 0.591
0.341 0.318 0.841
0.500 0.500 0.500
0.500 0.500 0.000
0.750 0.000 0.250
0.000 0.500 0.500
0.250 0.000 0.250
0.250 0.000 0.750
0.091 0.818 0.091
0.159 0.682 0.659
0.750 0.000 0.750
0.500 0.000 0.500
0.750 0.500 0.250
0.000 0.000 0.000
0.250 0.500 0.750
0.319 0.362 0.319
0.069 0.862 0.569
0.569 0.862 0.069
0.819 0.362 0.819
0.182 0.638 0.181
0.931 0.138 0.431
0.681 0.638 0.681
0.431 0.138 0.932
```

Record 6
Below is an optimized crystal structure of La2Co2O5, with properties calculated at the PBE with a Hubbard U level.

## Properties
DFT total energy = -7.3417 eV/atom
theoretical density = 6.28 Mg/m³

```
La2Co2O5
1.0
-7.896 2.906 2.740
7.896 -2.906 2.740
7.896 2.906 -2.740
La Co O
4 4 10
direct
0.023 0.110 0.133
0.023 0.390 0.412
0.977 0.610 0.588
0.977 0.890 0.867
0.402 0.714 0.188
0.510 0.010 0.500
0.510 0.510 0.000
0.526 0.214 0.812
0.010 0.272 0.772
0.010 0.737 0.238
0.204 0.842 0.862
0.459 0.183 0.559
0.459 0.400 0.776
0.500 0.237 0.228
0.500 0.772 0.762
0.624 0.683 0.224
0.624 0.900 0.441
0.980 0.342 0.138
```

Record 7
Below is an optimized crystal structure of LaCo3O3, with properties calculated at the PBE with a Hubbard U level.

## Properties
DFT total energy = -5.9342 eV/atom
theoretical density = 6.50 Mg/m³

```
LaCo3O3
1.0
3.588 0.000 0.000
0.209 5.405 0.000
0.130 2.649 4.794
La Co O
1 3 3
direct
0.000 0.000 0.000
0.500 0.000 0.500
0.500 0.500 0.000
0.500 0.500 0.500
0.000 0.000 0.500
0.000 0.500 0.000
0.000 0.500 0.500
```

Record 8
Below is an optimized crystal structure of LaCoO3, with properties calculated at the PBE with a Hubbard U level.

## Properties
DFT total energy = -7.2124 eV/atom
theoretical density = 6.86 Mg/m³

```
LaCoO3
1.0
5.548 0.000 0.000
-2.721 4.847 0.000
-0.020 -3.182 8.847
La Co O
4 4 12
direct
0.000 0.000 0.000
0.241 0.500 0.754
0.501 0.004 0.502
0.755 0.503 0.252
0.128 0.252 0.377
0.378 0.756 0.128
0.619 0.251 0.879
0.869 0.746 0.624
0.020 0.580 0.008
0.064 0.995 0.498
0.197 0.515 0.252
0.222 0.925 0.753
0.322 0.064 0.248
0.430 0.435 0.004
0.508 0.570 0.508
0.568 0.000 0.000
0.678 0.495 0.759
0.739 0.929 0.246
0.804 0.074 0.753
0.929 0.428 0.500
```

Record 9
Below is an optimized crystal structure of LaCoO3, with properties calculated at the PBE with a Hubbard U level.

## Properties
DFT total energy = -7.2040 eV/atom
theoretical density = 6.84 Mg/m³

```
LaCoO3
1.0
5.460 0.000 0.000
2.671 4.798 0.000
2.715 1.604 4.558
La Co O
2 2 6
direct
0.250 0.244 0.255
0.750 0.756 0.745
0.000 0.000 0.000
0.500 0.500 0.500
0.199 0.795 0.293
0.250 0.673 0.831
0.305 0.217 0.697
0.695 0.783 0.303
0.750 0.327 0.169
0.801 0.205 0.707
```

Record 10
Below is an optimized crystal structure of LaCoO3, with properties calculated at the PBE with a Hubbard U level.

## Properties
DFT total energy = -7.2249 eV/atom
theoretical density = 6.71 Mg/m³

```
LaCoO3
1.0
5.438 0.000 0.000
0.002 5.569 0.000
0.199 0.007 8.030
La Co O
4 4 12
direct
0.001 0.498 0.250
0.499 0.001 0.249
0.501 0.999 0.751
0.999 0.502 0.750
0.000 0.000 0.000
0.000 0.000 0.500
0.500 0.500 0.000
0.500 0.500 0.500
0.005 0.075 0.250
0.210 0.727 0.465
0.223 0.293 0.963
0.277 0.794 0.033
0.290 0.228 0.539
0.497 0.425 0.250
0.503 0.575 0.750
0.710 0.772 0.461
0.723 0.206 0.967
0.777 0.707 0.037
0.790 0.273 0.535
0.995 0.925 0.750
```

Record 11
Below is an optimized crystal structure of LaCoO3, with properties calculated at the PBE with a Hubbard U level.

## Properties
DFT total energy = -7.1876 eV/atom
theoretical density = 6.84 Mg/m³

```
LaCoO3
1.0
4.764 -2.783 0.000
4.764 2.783 0.000
-3.087 0.000 4.504
La Co O
2 2 6
direct
0.244 0.756 0.750
0.756 0.244 0.250
0.000 0.500 0.000
0.500 0.000 0.500
0.205 0.208 0.199
0.208 0.205 0.699
0.329 0.671 0.250
0.671 0.329 0.750
0.792 0.795 0.301
0.795 0.792 0.801
```

Record 12
Below is an optimized crystal structure of LaCoO3, with properties calculated at the PBE with a Hubbard U level.

## Properties
DFT total energy = -7.2428 eV/atom
theoretical density = 6.91 Mg/m³

```
LaCoO3
1.0
5.441 0.000 0.000
2.636 4.791 0.000
2.646 1.569 4.529
La Co O
2 2 6
direct
0.248 0.250 0.252
0.752 0.750 0.748
0.000 0.000 0.000
0.500 0.500 0.500
0.183 0.308 0.754
0.237 0.819 0.694
0.308 0.758 0.179
0.692 0.242 0.821
0.763 0.181 0.306
0.817 0.692 0.246
```